Record 1
A relaxed structure of Tb2Fe17. Source: Materials Project, functional r²SCAN.

POSCAR file:
```
Tb2Fe17
1.0
6.381 -0.019 0.761
0.673 6.346 0.761
-0.021 -0.019 6.426
Tb Fe
2 17
Cartesian
4.646 4.167 5.250
2.387 2.141 2.698
0.679 0.609 0.767
4.274 0.955 4.829
6.354 5.699 7.181
4.502 -0.019 2.423
4.706 1.849 0.761
0.469 4.479 2.422
2.530 6.326 5.524
2.411 2.163 5.958
0.182 1.848 4.765
0.663 6.336 3.974
4.622 4.145 1.989
2.759 5.353 3.118
5.621 2.163 3.118
0.337 3.173 0.380
2.327 4.459 7.187
3.864 6.336 1.141
1.412 4.145 4.829
```

Results
* ΔE_f: 0.007 eV/atom
* symmetry: R-3m, No. 166
* VASP energy: -1.189 Ry per atom

Record 2
A relaxed structure of TbFe3. Source: Materials Project, functional r²SCAN.

POSCAR file:
```
TbFe3
1.0
-3.665 0.985 -7.773
-2.278 -3.980 -7.334
-6.617 -2.297 -5.075
Tb Fe
3 9
Cartesian
0.000 0.000 0.000
-1.784 -0.752 -2.866
-10.776 -4.540 -17.316
-6.280 -2.646 -10.091
-4.180 -1.761 -6.716
-8.380 -3.531 -13.466
-5.455 -3.552 -7.831
-3.992 -1.925 -9.168
-6.142 -1.091 -8.049
-6.418 -4.201 -12.133
-7.105 -1.740 -12.351
-8.568 -3.367 -11.014
```

Results
* ΔE_f: 0.012 eV/atom
* symmetry: R-3m, No. 166
* VASP energy: -1.367 Ry per atom

Record 3
A relaxed structure of TbZn20Fe2. Source: Materials Project, functional r²SCAN.

POSCAR file:
```
TbZn20Fe2
1.0
0.000 6.960 6.960
6.960 0.000 6.960
6.960 6.960 0.000
Tb Zn Fe
2 40 4
Cartesian
10.439 10.439 10.439
6.960 6.960 6.960
8.700 8.700 8.700
8.700 5.220 5.220
9.770 7.884 6.035
11.364 11.364 13.249
9.515 11.364 7.629
9.515 13.249 9.515
11.364 7.629 9.515
13.249 9.515 9.515
13.249 11.364 11.364
6.035 7.884 9.770
6.035 4.150 6.035
7.884 9.770 6.035
7.884 7.884 4.150
7.884 6.035 9.770
6.035 9.770 7.884
6.035 6.035 4.150
7.884 4.150 7.884
9.515 7.629 11.364
9.515 9.515 13.249
7.629 11.364 9.515
7.629 9.515 11.364
11.364 9.515 7.629
11.364 13.249 11.364
4.150 7.884 7.884
4.150 6.035 6.035
9.770 6.035 7.884
6.960 6.960 12.032
5.367 3.480 3.480
1.593 3.480 3.480
3.480 3.480 1.593
3.480 1.593 3.480
3.480 5.367 3.480
6.960 1.887 6.960
12.032 6.960 6.960
1.887 6.960 6.960
6.960 12.032 6.960
3.480 3.480 5.367
6.960 6.960 1.887
5.220 8.700 5.220
5.220 5.220 8.700
5.220 1.740 5.220
1.740 1.740 1.740
1.740 5.220 5.220
5.220 5.220 1.740
```

Results
* ΔE_f: -0.103 eV/atom
* symmetry: Fd-3m, No. 227
* VASP energy: -0.769 Ry per atom

Record 4
A relaxed structure of Ti2FeTc. Source: Materials Project, functional r²SCAN.

POSCAR file:
```
Ti2FeTc
1.0
1.173 -3.703 1.825
0.992 -0.116 4.174
-2.628 -1.951 2.777
Ti Fe Tc
2 1 1
Cartesian
-0.116 -1.443 2.194
-0.347 -4.328 6.582
-0.231 -2.885 4.388
0.000 0.000 0.000
```

Results
* ΔE_f: -0.363 eV/atom
* symmetry: Fm-3m, No. 225
* VASP energy: -1.244 Ry per atom